No. 1
Crystalline Be3Si3W2O12 at its relaxed geometry. Source: the Materials Project database, functional GGA+U.

a b c (Å): 8.179 7.806 16.316
angles (deg): 90.00 120.06 90.00
Element x y z (fractional)
Be: 0.023 0.146 0.412
Be: 0.023 0.354 0.912
Be: 0.306 0.146 0.239
Be: 0.306 0.354 0.739
Be: 0.320 0.648 0.400
Be: 0.320 0.852 0.900
Be: 0.680 0.148 0.100
Be: 0.680 0.352 0.600
Be: 0.694 0.646 0.261
Be: 0.694 0.854 0.761
Be: 0.977 0.646 0.088
Be: 0.977 0.854 0.588
Si: 0.027 0.730 0.917
Si: 0.027 0.770 0.417
Si: 0.304 0.733 0.735
Si: 0.304 0.767 0.235
Si: 0.335 0.233 0.902
Si: 0.335 0.267 0.402
Si: 0.665 0.733 0.598
Si: 0.665 0.767 0.098
Si: 0.696 0.233 0.765
Si: 0.696 0.267 0.265
Si: 0.973 0.230 0.583
Si: 0.973 0.270 0.083
W: 0.328 0.054 0.077
W: 0.328 0.446 0.577
W: 0.337 0.047 0.589
W: 0.337 0.453 0.089
W: 0.663 0.547 0.911
W: 0.663 0.953 0.411
W: 0.672 0.554 0.423
W: 0.672 0.946 0.923
O: 0.100 0.247 0.527
O: 0.100 0.253 0.027
O: 0.116 0.247 0.868
O: 0.116 0.253 0.368
O: 0.126 0.245 0.693
O: 0.126 0.255 0.193
O: 0.128 0.541 0.952
O: 0.128 0.959 0.452
O: 0.206 0.632 0.460
O: 0.206 0.868 0.960
O: 0.209 0.629 0.146
O: 0.209 0.871 0.646
O: 0.236 0.741 0.811
O: 0.236 0.759 0.311
O: 0.281 0.543 0.687
O: 0.281 0.957 0.187
O: 0.401 0.039 0.890
O: 0.401 0.461 0.390
O: 0.424 0.133 0.355
O: 0.424 0.367 0.855
O: 0.447 0.243 0.523
O: 0.447 0.257 0.023
O: 0.457 0.238 0.199
O: 0.457 0.262 0.699
O: 0.543 0.738 0.301
O: 0.543 0.762 0.801
O: 0.553 0.743 0.977
O: 0.553 0.757 0.477
O: 0.576 0.633 0.145
O: 0.576 0.867 0.645
O: 0.599 0.539 0.610
O: 0.599 0.961 0.110
O: 0.719 0.043 0.813
O: 0.719 0.457 0.313
O: 0.764 0.241 0.689
O: 0.764 0.259 0.189
O: 0.791 0.129 0.354
O: 0.791 0.371 0.854
O: 0.794 0.132 0.040
O: 0.794 0.368 0.540
O: 0.872 0.041 0.548
O: 0.872 0.459 0.048
O: 0.874 0.745 0.807
O: 0.874 0.755 0.307
O: 0.884 0.747 0.632
O: 0.884 0.753 0.132
O: 0.900 0.747 0.973
O: 0.900 0.753 0.473

Calculated values
The calculation puts the formation energy from the elements at -2.667 eV per atom. The total energy comes out at -7.450 eV/atom. The calculation puts the total magnetization at 6.03 μB per formula unit.

---

No. 2
Crystalline TiBi8WBr2O16 at its relaxed geometry. Source: the Materials Project database, functional GGA+U.

a b c (Å): 15.217 15.217 5.542
angles (deg): 99.96 99.96 21.24
Element x y z (fractional)
Ti: 0.000 0.000 0.000
Bi: 0.048 0.133 0.622
Bi: 0.173 0.182 0.186
Bi: 0.321 0.324 0.333
Bi: 0.353 0.470 0.927
Bi: 0.530 0.647 0.073
Bi: 0.676 0.679 0.667
Bi: 0.818 0.827 0.814
Bi: 0.867 0.952 0.378
W: 0.525 0.475 0.500
Br: 0.256 0.245 0.749
Br: 0.755 0.744 0.251
O: 0.010 0.865 0.025
O: 0.109 0.610 0.115
O: 0.114 0.608 0.618
O: 0.135 0.990 0.975
O: 0.292 0.680 0.728
O: 0.320 0.708 0.272
O: 0.390 0.891 0.885
O: 0.392 0.886 0.382
O: 0.506 0.367 0.347
O: 0.610 0.107 0.103
O: 0.615 0.104 0.600
O: 0.633 0.494 0.653
O: 0.782 0.192 0.735
O: 0.808 0.218 0.265
O: 0.893 0.390 0.897
O: 0.896 0.385 0.400

Calculated values
The calculation puts the formation energy from the elements at -1.896 eV per atom. The total energy comes out at -6.146 eV/atom. The calculation puts the total magnetization at 0.00 μB per formula unit.

---

No. 3
Crystalline BiW2Br8O2 at its relaxed geometry. Source: the Materials Project database, functional GGA+U.

a b c (Å): 7.799 9.415 11.639
angles (deg): 89.42 80.30 88.52
Element x y z (fractional)
Bi: 0.126 0.335 0.086
Bi: 0.874 0.665 0.914
W: 0.216 0.885 0.646
W: 0.284 0.105 0.355
W: 0.716 0.895 0.645
W: 0.784 0.115 0.354
Br: 0.098 0.631 0.095
Br: 0.153 0.951 0.860
Br: 0.209 0.621 0.692
Br: 0.227 0.165 0.580
Br: 0.279 0.830 0.417
Br: 0.290 0.375 0.295
Br: 0.327 0.037 0.142
Br: 0.398 0.341 0.918
Br: 0.602 0.659 0.082
Br: 0.673 0.963 0.858
Br: 0.710 0.625 0.705
Br: 0.721 0.170 0.583
Br: 0.773 0.835 0.420
Br: 0.791 0.379 0.308
Br: 0.847 0.049 0.140
Br: 0.902 0.369 0.905
O: 0.024 0.107 0.362
O: 0.460 0.892 0.642
O: 0.540 0.108 0.358
O: 0.976 0.893 0.638

Calculated values
The calculation puts the formation energy from the elements at -0.877 eV per atom. The total energy comes out at -4.150 eV/atom. The calculation puts the total magnetization at 3.00 μB per formula unit.

---

No. 4
Crystalline FeBiC6N6O4 at its relaxed geometry. Source: the Materials Project database, functional GGA+U.

a b c (Å): 8.055 8.055 13.925
angles (deg): 90.00 90.00 122.53
Element x y z (fractional)
Fe: 0.000 0.000 0.000
Fe: 0.000 0.000 0.500
Bi: 0.334 0.666 0.750
Bi: 0.666 0.334 0.250
C: 0.138 0.862 0.568
C: 0.138 0.862 0.932
C: 0.149 0.250 0.597
C: 0.149 0.250 0.903
C: 0.250 0.149 0.097
C: 0.250 0.149 0.403
C: 0.750 0.851 0.597
C: 0.750 0.851 0.903
C: 0.851 0.750 0.097
C: 0.851 0.750 0.403
C: 0.862 0.138 0.068
C: 0.862 0.138 0.432
N: 0.211 0.789 0.609
N: 0.211 0.789 0.891
N: 0.223 0.389 0.647
N: 0.223 0.389 0.853
N: 0.389 0.223 0.147
N: 0.389 0.223 0.353
N: 0.611 0.777 0.647
N: 0.611 0.777 0.853
N: 0.777 0.611 0.147
N: 0.777 0.611 0.353
N: 0.789 0.211 0.109
N: 0.789 0.211 0.391
O: 0.167 0.570 0.250
O: 0.324 0.676 0.177
O: 0.324 0.676 0.323
O: 0.430 0.833 0.250
O: 0.570 0.167 0.750
O: 0.676 0.324 0.677
O: 0.676 0.324 0.823
O: 0.833 0.430 0.750

Calculated values
The calculation puts the formation energy from the elements at 0.716 eV per atom. The total energy comes out at -6.800 eV/atom. The calculation puts the total magnetization at 5.00 μB per formula unit.

---

No. 5
Crystalline Mn3BiC15O15 at its relaxed geometry. Source: the Materials Project database, functional GGA+U.

a b c (Å): 6.709 17.326 19.975
angles (deg): 90.00 100.21 90.00
Element x y z (fractional)
Mn: 0.173 0.200 0.165
Mn: 0.173 0.300 0.665
Mn: 0.277 0.045 0.362
Mn: 0.277 0.455 0.862
Mn: 0.292 0.185 0.886
Mn: 0.292 0.315 0.386
Mn: 0.708 0.685 0.614
Mn: 0.708 0.815 0.114
Mn: 0.723 0.545 0.138
Mn: 0.723 0.955 0.638
Mn: 0.827 0.700 0.335
Mn: 0.827 0.800 0.835
Bi: 0.401 0.189 0.304
Bi: 0.401 0.311 0.804
Bi: 0.599 0.689 0.196
Bi: 0.599 0.811 0.696
C: 0.020 0.067 0.315
C: 0.020 0.433 0.815
C: 0.037 0.737 0.296
C: 0.037 0.763 0.796
C: 0.041 0.214 0.079
C: 0.041 0.286 0.579
C: 0.057 0.241 0.884
C: 0.057 0.259 0.384
C: 0.070 0.101 0.163
C: 0.070 0.399 0.663
C: 0.174 0.132 0.809
C: 0.174 0.368 0.309
C: 0.204 0.089 0.439
C: 0.204 0.411 0.939
C: 0.216 0.552 0.887
C: 0.216 0.948 0.387
C: 0.230 0.109 0.942
C: 0.230 0.391 0.442
C: 0.292 0.204 0.666
C: 0.292 0.296 0.166
C: 0.366 0.009 0.286
C: 0.366 0.491 0.786
C: 0.407 0.158 0.144
C: 0.407 0.342 0.644
C: 0.423 0.243 0.959
C: 0.423 0.257 0.459
C: 0.457 0.547 0.093
C: 0.457 0.953 0.593
C: 0.459 0.644 0.622
C: 0.459 0.856 0.122
C: 0.541 0.144 0.878
C: 0.541 0.356 0.378
C: 0.543 0.047 0.407
C: 0.543 0.453 0.907
C: 0.577 0.743 0.541
C: 0.577 0.757 0.041
C: 0.593 0.658 0.356
C: 0.593 0.842 0.856
C: 0.634 0.509 0.214
C: 0.634 0.991 0.714
C: 0.708 0.704 0.834
C: 0.708 0.796 0.334
C: 0.770 0.609 0.558
C: 0.770 0.891 0.058
C: 0.784 0.052 0.613
C: 0.784 0.448 0.113
C: 0.796 0.589 0.061
C: 0.796 0.911 0.561
C: 0.826 0.632 0.691
C: 0.826 0.868 0.191
C: 0.930 0.601 0.337
C: 0.930 0.899 0.837
C: 0.943 0.741 0.616
C: 0.943 0.759 0.116
C: 0.959 0.714 0.421
C: 0.959 0.786 0.921
C: 0.963 0.237 0.204
C: 0.963 0.263 0.704
C: 0.980 0.567 0.185
C: 0.980 0.933 0.685
O: 0.004 0.039 0.156
O: 0.004 0.461 0.656
O: 0.054 0.721 0.475
O: 0.054 0.779 0.975
O: 0.093 0.725 0.117
O: 0.093 0.775 0.617
O: 0.097 0.097 0.762
O: 0.097 0.403 0.262
O: 0.146 0.578 0.211
O: 0.146 0.922 0.711
O: 0.158 0.111 0.489
O: 0.158 0.389 0.989
O: 0.174 0.614 0.901
O: 0.174 0.886 0.401
O: 0.177 0.741 0.774
O: 0.177 0.759 0.274
O: 0.194 0.062 0.979
O: 0.194 0.438 0.479
O: 0.291 0.548 0.064
O: 0.291 0.952 0.564
O: 0.302 0.618 0.626
O: 0.302 0.882 0.126
O: 0.372 0.145 0.662
O: 0.372 0.355 0.162
O: 0.425 0.516 0.740
O: 0.425 0.984 0.240
O: 0.446 0.631 0.370
O: 0.446 0.869 0.870
O: 0.494 0.724 0.993
O: 0.494 0.776 0.493
O: 0.506 0.224 0.507
O: 0.506 0.276 0.007
O: 0.554 0.131 0.130
O: 0.554 0.369 0.630
O: 0.575 0.016 0.760
O: 0.575 0.484 0.260
O: 0.628 0.645 0.838
O: 0.628 0.855 0.338
O: 0.698 0.118 0.874
O: 0.698 0.382 0.374
O: 0.709 0.048 0.436
O: 0.709 0.452 0.936
O: 0.806 0.562 0.521
O: 0.806 0.938 0.021
O: 0.823 0.241 0.726
O: 0.823 0.259 0.226
O: 0.826 0.114 0.599
O: 0.826 0.386 0.099
O: 0.842 0.611 0.011
O: 0.842 0.889 0.511
O: 0.854 0.078 0.289
O: 0.854 0.422 0.789
O: 0.903 0.597 0.738
O: 0.903 0.903 0.238
O: 0.907 0.225 0.383
O: 0.907 0.275 0.883
O: 0.946 0.221 0.025
O: 0.946 0.279 0.525
O: 0.996 0.539 0.344
O: 0.996 0.961 0.844

Calculated values
The calculation puts the formation energy from the elements at -0.757 eV per atom. The total energy comes out at -7.484 eV/atom. The calculation puts the total magnetization at 0.02 μB per formula unit.

---

No. 6
Crystalline CaBi3PbWClO8 at its relaxed geometry. Source: the Materials Project database, functional GGA+U.

a b c (Å): 3.958 4.110 17.606
angles (deg): 90.00 90.00 90.00
Element x y z (fractional)
Ca: 0.000 0.000 0.000
Bi: 0.000 0.500 0.661
Bi: 0.500 0.000 0.246
Bi: 0.500 0.000 0.814
Pb: 0.000 0.500 0.384
W: 0.500 0.000 0.546
Cl: 0.000 0.500 0.100
O: 0.000 0.000 0.304
O: 0.000 0.000 0.563
O: 0.000 0.000 0.881
O: 0.500 0.000 0.441
O: 0.500 0.000 0.662
O: 0.500 0.500 0.300
O: 0.500 0.500 0.563
O: 0.500 0.500 0.759

Calculated values
The calculation puts the formation energy from the elements at -1.657 eV per atom. The total energy comes out at -5.780 eV/atom. The calculation puts the total magnetization at 1.00 μB per formula unit.

---

No. 7
Crystalline CaCoBi2O7 at its relaxed geometry. Source: the Materials Project database, functional GGA+U.

a b c (Å): 7.460 14.928 11.451
angles (deg): 90.00 103.76 90.00
Element x y z (fractional)
Ca: 0.120 0.009 0.293
Ca: 0.120 0.491 0.793
Ca: 0.317 0.124 0.985
Ca: 0.317 0.376 0.485
Ca: 0.683 0.624 0.515
Ca: 0.683 0.876 0.015
Ca: 0.880 0.509 0.207
Ca: 0.880 0.991 0.707
Co: 0.008 0.742 0.731
Co: 0.008 0.758 0.231
Co: 0.363 0.668 0.912
Co: 0.363 0.832 0.412
Co: 0.637 0.168 0.588
Co: 0.637 0.332 0.088
Co: 0.992 0.242 0.769
Co: 0.992 0.258 0.269
Bi: 0.101 0.181 0.540
Bi: 0.101 0.319 0.040
Bi: 0.139 0.599 0.482
Bi: 0.139 0.901 0.982
Bi: 0.379 0.516 0.194
Bi: 0.379 0.984 0.694
Bi: 0.499 0.235 0.289
Bi: 0.499 0.265 0.789
Bi: 0.501 0.735 0.211
Bi: 0.501 0.765 0.711
Bi: 0.621 0.016 0.306
Bi: 0.621 0.484 0.806
Bi: 0.861 0.099 0.018
Bi: 0.861 0.401 0.518
Bi: 0.899 0.681 0.960
Bi: 0.899 0.819 0.460
O: 0.009 0.186 0.917
O: 0.009 0.314 0.417
O: 0.032 0.149 0.354
O: 0.032 0.351 0.854
O: 0.038 0.196 0.141
O: 0.038 0.304 0.641
O: 0.071 0.641 0.842
O: 0.071 0.859 0.342
O: 0.135 0.021 0.089
O: 0.135 0.479 0.589
O: 0.185 0.040 0.547
O: 0.185 0.460 0.047
O: 0.232 0.506 0.337
O: 0.232 0.994 0.837
O: 0.247 0.203 0.798
O: 0.247 0.297 0.298
O: 0.266 0.738 0.287
O: 0.266 0.762 0.787
O: 0.382 0.226 0.582
O: 0.382 0.274 0.082
O: 0.383 0.633 0.076
O: 0.383 0.867 0.576
O: 0.399 0.568 0.810
O: 0.399 0.670 0.559
O: 0.399 0.830 0.059
O: 0.399 0.932 0.310
O: 0.428 0.108 0.199
O: 0.428 0.392 0.699
O: 0.572 0.608 0.301
O: 0.572 0.892 0.801
O: 0.601 0.068 0.690
O: 0.601 0.170 0.941
O: 0.601 0.330 0.441
O: 0.601 0.432 0.190
O: 0.617 0.133 0.424
O: 0.617 0.367 0.924
O: 0.618 0.726 0.918
O: 0.618 0.774 0.418
O: 0.734 0.238 0.213
O: 0.734 0.262 0.713
O: 0.753 0.703 0.702
O: 0.753 0.797 0.202
O: 0.768 0.006 0.163
O: 0.768 0.494 0.663
O: 0.815 0.540 0.953
O: 0.815 0.960 0.453
O: 0.865 0.521 0.411
O: 0.865 0.979 0.911
O: 0.929 0.141 0.658
O: 0.929 0.359 0.158
O: 0.962 0.696 0.359
O: 0.962 0.804 0.859
O: 0.968 0.649 0.146
O: 0.968 0.851 0.646
O: 0.991 0.686 0.583
O: 0.991 0.814 0.083

Calculated values
The calculation puts the formation energy from the elements at -1.645 eV per atom. The total energy comes out at -5.744 eV/atom. The calculation puts the total magnetization at 1.50 μB per formula unit.